Record 1
The following is a DFT calculation (PBE-GGA) of crystalline Al3Pb5F19 at its relaxed geometry.

Output
Calculated density in g/cm3: 6.28
Magnetization in Bohr magnetons per cell: 0.00
Energy above the lowest structure with this stoichiometry in kJ/mol of atoms: 1.9
DFT total energy in eV per atom: -5.32
Calculated formation energy in meV/atom: -3193

abc: 10.948 10.948 10.948
angles: 96.47 96.47 140.78
Sites, in units of the cell vectors:
F (0.245, 0.255, 0.500)
F (0.838, 0.662, 0.000)
F (0.393, 0.893, 0.287)
F (0.446, 0.269, 0.372)
F (0.338, 0.162, 0.000)
F (0.426, 0.603, 0.372)
Pb (0.427, 0.729, 0.156)
F (0.603, 0.231, 0.177)
F (0.074, 0.446, 0.177)
Pb (0.073, 0.229, 0.301)
Pb (0.771, 0.073, 0.844)
Pb (0.229, 0.927, 0.156)
F (0.000, 0.000, 0.000)
Al (0.834, 0.334, 0.168)
Pb (0.927, 0.771, 0.699)
F (0.769, 0.946, 0.372)
F (0.162, 0.162, 0.824)
F (0.162, 0.338, 0.000)
F (0.755, 0.745, 0.500)
F (0.255, 0.755, 0.010)
F (0.577, 0.923, 0.500)
F (0.500, 0.500, 0.000)
Al (0.166, 0.666, 0.832)
F (0.946, 0.574, 0.177)
F (0.897, 0.074, 0.628)
Pb (0.250, 0.750, 0.500)
F (0.077, 0.577, 0.654)
Pb (0.573, 0.271, 0.844)
F (0.893, 0.607, 0.500)
F (0.269, 0.897, 0.823)
F (0.574, 0.397, 0.628)
F (0.107, 0.393, 0.500)
F (0.662, 0.838, 0.000)
F (0.607, 0.107, 0.713)
F (0.103, 0.926, 0.372)
F (0.838, 0.838, 0.176)
Pb (0.750, 0.250, 0.500)
Pb (0.729, 0.573, 0.301)
F (0.338, 0.338, 0.176)
F (0.923, 0.423, 0.346)
Al (0.250, 0.250, 0.000)
F (0.554, 0.731, 0.628)
F (0.926, 0.554, 0.823)
F (0.231, 0.054, 0.628)
Al (0.334, 0.166, 0.500)
F (0.662, 0.662, 0.824)
F (0.054, 0.426, 0.823)
F (0.397, 0.769, 0.823)
F (0.745, 0.245, 0.990)
Al (0.666, 0.834, 0.500)
Pb (0.271, 0.427, 0.699)
F (0.731, 0.103, 0.177)
F (0.423, 0.077, 0.500)
Al (0.750, 0.750, 0.000)

---

Record 2
The following is a DFT calculation (PBE-GGA) of crystalline AlPbF5 at its relaxed geometry.

Output
Calculated density in g/cm3: 5.74
Magnetization in Bohr magnetons per cell: 0.00
DFT total energy in eV per atom: -5.46
Calculated formation energy in meV/atom: -3361

abc: 10.868 10.868 10.868
angles: 96.40 96.40 140.98
Sites, in units of the cell vectors:
F (0.204, 0.556, 0.141)
Pb (0.408, 0.239, 0.686)
F (0.223, 0.723, 0.500)
Pb (0.209, 0.037, 0.278)
Pb (0.037, 0.759, 0.828)
F (0.263, 0.329, 0.164)
F (0.513, 0.907, 0.816)
F (0.723, 0.223, 0.500)
F (0.677, 0.606, 0.838)
F (0.606, 0.768, 0.928)
Al (0.315, 0.798, 0.155)
F (0.404, 0.549, 0.642)
F (0.468, 0.468, 0.000)
F (0.218, 0.728, 0.980)
F (0.839, 0.677, 0.072)
Pb (0.722, 0.408, 0.169)
Al (0.159, 0.315, 0.516)
F (0.861, 0.527, 0.444)
Al (0.643, 0.159, 0.845)
F (0.165, 0.099, 0.836)
F (0.238, 0.218, 0.490)
F (0.762, 0.404, 0.855)
F (0.083, 0.417, 0.556)
F (0.910, 0.366, 0.326)
Al (0.973, 0.473, 0.500)
F (0.243, 0.435, 0.388)
F (0.556, 0.415, 0.352)
F (0.415, 0.063, 0.859)
F (0.527, 0.083, 0.666)
F (0.969, 0.969, 0.000)
F (0.329, 0.165, 0.066)
F (0.728, 0.748, 0.510)
F (0.697, 0.513, 0.607)
F (0.549, 0.907, 0.145)
F (0.099, 0.263, 0.934)
F (0.417, 0.861, 0.334)
Pb (0.759, 0.931, 0.722)
F (0.768, 0.839, 0.162)
Al (0.221, 0.221, 0.000)
F (0.907, 0.762, 0.358)
F (0.366, 0.040, 0.456)
F (0.040, 0.584, 0.674)
Al (0.473, 0.973, 0.500)
F (0.855, 0.243, 0.808)
Pb (0.931, 0.209, 0.172)
Pb (0.553, 0.722, 0.314)
F (0.907, 0.091, 0.393)
F (0.748, 0.238, 0.020)
F (0.584, 0.910, 0.544)
Al (0.798, 0.643, 0.484)
Al (0.717, 0.717, 0.000)
F (0.435, 0.047, 0.192)
F (0.047, 0.855, 0.612)
F (0.063, 0.204, 0.648)
F (0.091, 0.697, 0.184)
Pb (0.239, 0.553, 0.831)

---

Record 3
The following is a DFT calculation (PBE-GGA) of crystalline Al3Pb5F19 at its relaxed geometry.

Output
Calculated density in g/cm3: 6.40
Magnetization in Bohr magnetons per cell: 0.00
Energy above the lowest structure with this stoichiometry in kJ/mol of atoms: 0.7
DFT total energy in eV per atom: -5.33
Calculated formation energy in meV/atom: -3205

abc: 10.877 10.877 10.877
angles: 96.48 96.48 140.74
Sites, in units of the cell vectors:
Pb (0.442, 0.281, 0.723)
F (0.627, 0.420, 0.393)
F (0.923, 0.280, 0.857)
F (0.879, 0.420, 0.299)
F (0.303, 0.138, 0.934)
F (0.500, 0.500, 0.000)
Pb (0.917, 0.241, 0.158)
F (0.066, 0.923, 0.643)
F (0.373, 0.580, 0.607)
Pb (0.241, 0.083, 0.325)
Pb (0.558, 0.719, 0.277)
F (0.000, 0.000, 0.000)
F (0.766, 0.373, 0.793)
F (0.580, 0.973, 0.207)
Al (0.675, 0.158, 0.833)
F (0.280, 0.423, 0.357)
F (0.027, 0.234, 0.607)
Al (0.247, 0.247, 0.000)
F (0.257, 0.736, 0.993)
F (0.736, 0.743, 0.478)
F (0.795, 0.631, 0.934)
F (0.611, 0.047, 0.658)
F (0.631, 0.697, 0.835)
F (0.138, 0.205, 0.835)
F (0.697, 0.862, 0.066)
F (0.369, 0.303, 0.165)
F (0.743, 0.264, 0.007)
Al (0.753, 0.753, 0.000)
Pb (0.750, 0.250, 0.500)
F (0.264, 0.257, 0.522)
F (0.121, 0.580, 0.701)
F (0.720, 0.577, 0.643)
F (0.420, 0.027, 0.793)
F (0.423, 0.066, 0.143)
F (0.580, 0.879, 0.458)
F (0.077, 0.720, 0.143)
Pb (0.281, 0.558, 0.839)
F (0.420, 0.121, 0.542)
Al (0.325, 0.842, 0.167)
F (0.862, 0.795, 0.165)
Pb (0.759, 0.917, 0.675)
Al (0.158, 0.325, 0.483)
F (0.973, 0.766, 0.393)
F (0.934, 0.077, 0.357)
Pb (0.083, 0.759, 0.842)
Al (0.842, 0.675, 0.517)
F (0.953, 0.611, 0.564)
F (0.047, 0.389, 0.436)
F (0.389, 0.953, 0.342)
Pb (0.250, 0.750, 0.500)
F (0.234, 0.627, 0.207)
F (0.205, 0.369, 0.066)
Pb (0.719, 0.442, 0.161)
F (0.577, 0.934, 0.857)

---

Record 4
The following is a DFT calculation (PBE-GGA) of crystalline Al3Pb5F19 at its relaxed geometry.

Output
Calculated density in g/cm3: 6.38
Magnetization in Bohr magnetons per cell: 0.00
Energy above the lowest structure with this stoichiometry in kJ/mol of atoms: 0.5
DFT total energy in eV per atom: -5.33
Calculated formation energy in meV/atom: -3208

abc: 7.330 10.835 10.846
angles: 83.98 109.38 108.86
Sites, in units of the cell vectors:
F (0.240, 0.614, 0.199)
Pb (0.560, 0.845, 0.276)
F (0.382, 0.441, 0.346)
F (0.905, 0.341, 0.562)
F (0.234, 0.004, 0.521)
F (0.000, 0.000, 0.000)
F (0.206, 0.837, 0.064)
F (0.423, 0.351, 0.155)
F (0.407, 0.287, 0.540)
F (0.019, 0.777, 0.599)
F (0.699, 0.124, 0.637)
F (0.760, 0.386, 0.801)
F (0.617, 0.191, 0.385)
Pb (0.077, 0.326, 0.842)
F (0.860, 0.065, 0.168)
F (0.618, 0.559, 0.654)
F (0.095, 0.659, 0.438)
Al (0.835, 0.168, 0.518)
F (0.981, 0.223, 0.401)
Al (0.754, 0.999, 0.002)
F (0.932, 0.835, 0.351)
Pb (0.761, 0.540, 0.478)
F (0.699, 0.834, 0.068)
F (0.577, 0.649, 0.845)
F (0.873, 0.463, 0.293)
F (0.068, 0.165, 0.649)
F (0.586, 0.603, 0.217)
F (0.923, 0.637, 0.860)
Pb (0.721, 0.280, 0.160)
Pb (0.923, 0.674, 0.158)
Al (0.674, 0.517, 0.830)
F (0.593, 0.713, 0.460)
F (0.414, 0.397, 0.783)
Pb (0.239, 0.460, 0.522)
F (0.301, 0.166, 0.932)
Al (0.246, 0.001, 0.998)
F (0.634, 0.933, 0.838)
F (0.766, 0.996, 0.479)
F (0.127, 0.537, 0.707)
Pb (0.440, 0.155, 0.724)
Pb (0.279, 0.720, 0.840)
Pb (0.751, 0.843, 0.676)
Al (0.326, 0.483, 0.170)
F (0.794, 0.163, 0.936)
F (0.140, 0.935, 0.832)
F (0.500, 0.000, 0.000)
F (0.301, 0.876, 0.363)
F (0.725, 0.480, 0.004)
F (0.077, 0.363, 0.140)
F (0.366, 0.067, 0.162)
F (0.383, 0.809, 0.615)
Pb (0.249, 0.157, 0.324)
Al (0.165, 0.832, 0.482)
F (0.275, 0.520, 0.996)

---

Record 5
The following is a DFT calculation (PBE-GGA) of crystalline Al2Pb3F12 at its relaxed geometry.

Output
Calculated density in g/cm3: 6.15
DFT total energy in eV per atom: -5.37
Calculated formation energy in meV/atom: -3246

abc: 9.812 9.564 14.009
angles: 47.96 90.00 90.00
Sites, in units of the cell vectors:
F (0.762, 0.566, 0.700)
F (0.981, 0.913, 0.944)
F (0.262, 0.434, 0.800)
Pb (0.395, 0.342, 0.676)
Al (0.363, 0.268, 0.423)
F (0.008, 0.356, 0.805)
F (0.676, 0.007, 0.193)
F (0.914, 0.569, 0.057)
Al (0.150, 0.948, 0.870)
Pb (0.498, 0.720, 0.988)
F (0.767, 0.837, 0.454)
F (0.625, 0.442, 0.068)
F (0.019, 0.087, 0.056)
F (0.233, 0.163, 0.546)
Al (0.850, 0.052, 0.130)
F (0.176, 0.993, 0.307)
Al (0.137, 0.268, 0.923)
F (0.087, 0.160, 0.718)
Pb (0.605, 0.658, 0.324)
Al (0.350, 0.948, 0.370)
Pb (0.714, 0.238, 0.291)
F (0.460, 0.772, 0.156)
F (0.086, 0.431, 0.943)
F (0.824, 0.007, 0.693)
F (0.324, 0.993, 0.807)
Pb (0.895, 0.658, 0.824)
F (0.715, 0.257, 0.473)
F (0.603, 0.192, 0.668)
F (0.040, 0.772, 0.656)
Pb (0.286, 0.762, 0.709)
F (0.238, 0.434, 0.300)
F (0.492, 0.356, 0.305)
F (0.806, 0.906, 0.089)
Al (0.863, 0.732, 0.077)
F (0.992, 0.644, 0.195)
F (0.738, 0.566, 0.200)
F (0.519, 0.913, 0.444)
F (0.397, 0.808, 0.332)
Al (0.650, 0.052, 0.630)
Pb (0.214, 0.762, 0.209)
Pb (0.002, 0.720, 0.488)
F (0.586, 0.569, 0.557)
F (0.194, 0.094, 0.911)
Al (0.637, 0.732, 0.577)
F (0.913, 0.840, 0.282)
F (0.285, 0.743, 0.527)
F (0.306, 0.094, 0.411)
F (0.587, 0.840, 0.782)
Pb (0.998, 0.280, 0.512)
F (0.375, 0.558, 0.932)
F (0.103, 0.808, 0.832)
F (0.897, 0.192, 0.168)
F (0.267, 0.163, 0.046)
Pb (0.502, 0.280, 0.012)
F (0.413, 0.160, 0.218)
F (0.414, 0.431, 0.443)
F (0.875, 0.442, 0.568)
F (0.733, 0.837, 0.954)
F (0.785, 0.257, 0.973)
F (0.481, 0.087, 0.556)
F (0.960, 0.228, 0.344)
F (0.125, 0.558, 0.432)
Pb (0.105, 0.342, 0.176)
F (0.694, 0.906, 0.589)
F (0.540, 0.228, 0.844)
F (0.215, 0.743, 0.027)
F (0.508, 0.644, 0.695)
Pb (0.786, 0.238, 0.791)

---

Record 6
The following is a DFT calculation (PBE-GGA) of crystalline RbAlPdF6 at its relaxed geometry.

Output
Calculated density in g/cm3: 4.02
Magnetization in Bohr magnetons per cell: 8.00
DFT total energy in eV per atom: -4.96
Calculated formation energy in meV/atom: -2896

abc: 7.233 7.393 10.289
angles: 90.00 90.00 90.00
Sites, in units of the cell vectors:
F (0.750, 0.530, 0.484)
F (0.499, 0.634, 0.649)
F (0.250, 0.540, 0.141)
F (0.001, 0.134, 0.851)
Rb (0.250, 0.981, 0.632)
Al (0.500, 0.000, 0.000)
F (0.501, 0.866, 0.149)
F (0.999, 0.866, 0.149)
F (0.969, 0.293, 0.595)
F (0.999, 0.366, 0.351)
Pd (0.750, 0.719, 0.763)
Pd (0.250, 0.781, 0.263)
F (0.501, 0.366, 0.351)
F (0.250, 0.040, 0.359)
F (0.250, 0.970, 0.984)
Pd (0.750, 0.219, 0.737)
F (0.531, 0.293, 0.595)
F (0.031, 0.707, 0.405)
Rb (0.750, 0.019, 0.368)
F (0.031, 0.207, 0.095)
Al (0.000, 0.000, 0.000)
Rb (0.250, 0.481, 0.868)
F (0.250, 0.470, 0.516)
F (0.750, 0.960, 0.641)
Al (0.000, 0.500, 0.500)
Al (0.500, 0.500, 0.500)
F (0.469, 0.707, 0.405)
F (0.531, 0.793, 0.905)
F (0.750, 0.460, 0.859)
F (0.499, 0.134, 0.851)
Pd (0.250, 0.281, 0.237)
F (0.750, 0.030, 0.016)
F (0.969, 0.793, 0.905)
F (0.001, 0.634, 0.649)
Rb (0.750, 0.519, 0.132)
F (0.469, 0.207, 0.095)

---

Record 7
The following is a DFT calculation (PBE-GGA) of crystalline Rb3AlF6 at its relaxed geometry.

Output
Calculated density in g/cm3: 3.59
DFT total energy in eV per atom: -4.94
Calculated formation energy in meV/atom: -3395

abc: 6.384 6.384 6.384
angles: 60.00 60.00 60.00
Sites, in units of the cell vectors:
F (0.796, 0.796, 0.204)
F (0.796, 0.204, 0.796)
F (0.204, 0.204, 0.796)
F (0.796, 0.204, 0.204)
Al (0.000, 0.000, 0.000)
Rb (0.250, 0.250, 0.250)
F (0.204, 0.796, 0.796)
F (0.204, 0.796, 0.204)
Rb (0.500, 0.500, 0.500)
Rb (0.750, 0.750, 0.750)

---

Record 8
The following is a DFT calculation (PBE-GGA) of crystalline RbAlF4 at its relaxed geometry.

Output
Calculated density in g/cm3: 3.55
DFT total energy in eV per atom: -5.39
Calculated formation energy in meV/atom: -3636

abc: 3.714 3.714 6.399
angles: 90.00 90.00 90.00
Sites, in units of the cell vectors:
F (0.500, 0.000, 0.500)
Rb (0.000, 0.000, 0.000)
Al (0.500, 0.500, 0.500)
F (0.500, 0.500, 0.779)
F (0.500, 0.500, 0.221)
F (0.000, 0.500, 0.500)